Record 1
## Nd5Sn3 (GGA-PBE)

Data for Nd5Sn3 after structural relaxation.

Structure (CIF):
```
data_Nd5Sn3
_space_group_name_H-M_alt 'P 63/m c m'
_space_group_IT_number 193
_space_group_name_Hall '-P 6c 2'
_cell_length_a 9.3090
_cell_length_b 9.3090
_cell_length_c 6.8589
_cell_angle_alpha 90.00
_cell_angle_beta 90.00
_cell_angle_gamma 120.00
loop_
_atom_site_label
_atom_site_type_symbol
_atom_site_fract_x
_atom_site_fract_y
_atom_site_fract_z
Nd1 Nd 0.0000 0.2408 0.2500
Nd2 Nd 0.3333 0.6667 0.0000
Sn1 Sn 0.0000 0.3952 0.7500
```

Results
Energy of formation from the pure elements (eV/atom): -0.69
Electronic total energy (eV/atom): -5.173

---

Record 2
## Na7UH4S4ClO20 (GGA-PBE)

Data for Na7UH4S4ClO20 after structural relaxation.

Structure (CIF):
```
data_Na7UH4S4ClO20
_space_group_name_H-M_alt 'C 1 2/c 1'
_space_group_IT_number 15
_cell_length_a 21.4791
_cell_length_b 5.4452
_cell_length_c 35.1504
_cell_angle_alpha 90.00
_cell_angle_beta 104.68
_cell_angle_gamma 90.00
loop_
_space_group_symop_operation_xyz
'x,y,z'
'-x,-y,-z'
'-x,y,-z+1/2'
'x,-y,z+1/2'
'x+1/2,y+1/2,z'
'-x+1/2,-y+1/2,-z'
'-x+1/2,y+1/2,-z+1/2'
'x+1/2,-y+1/2,z+1/2'
loop_
_atom_site_label
_atom_site_type_symbol
_atom_site_fract_x
_atom_site_fract_y
_atom_site_fract_z
Na1 Na 0.0000 0.0000 0.0000
Na2 Na 0.0000 0.1312 0.2500
Na3 Na 0.0662 0.0781 0.4217
Na4 Na 0.1213 0.4881 0.9957
Na5 Na 0.1522 0.1176 0.3422
Na6 Na 0.1815 0.0855 0.2445
Na7 Na 0.1938 0.2428 0.5809
Na8 Na 0.2443 0.1274 0.1610
U1 U 0.0193 0.3888 0.6667
H1 H 0.1153 0.0105 0.1202
H2 H 0.1309 0.2222 0.0937
H3 H 0.2290 0.0377 0.4694
H4 H 0.2385 0.3161 0.0453
S1 S 0.0279 0.4802 0.5654
S2 S 0.1008 0.3289 0.7747
S3 S 0.1427 0.4336 0.8944
S4 S 0.1940 0.3910 0.6800
Cl1 Cl 0.1435 0.0078 0.5039
O1 O 0.0020 0.0990 0.6413
O2 O 0.0033 0.2279 0.5573
O3 O 0.0141 0.3433 0.4617
O4 O 0.0263 0.4429 0.1069
O5 O 0.0329 0.3190 0.1926
O6 O 0.0487 0.2332 0.7929
O7 O 0.0847 0.2350 0.7331
O8 O 0.0854 0.4584 0.3632
O9 O 0.0957 0.4984 0.0626
O10 O 0.1041 0.4006 0.2768
O11 O 0.1257 0.3038 0.6634
O12 O 0.1388 0.4714 0.4329
O13 O 0.1401 0.1625 0.8925
O14 O 0.1495 0.0780 0.1095
O15 O 0.1620 0.2097 0.7958
O16 O 0.1940 0.3735 0.2007
O17 O 0.2010 0.4705 0.3837
O18 O 0.2252 0.4202 0.6470
O19 O 0.2291 0.1989 0.7075
O20 O 0.2327 0.4911 0.0396
```

Results
Energy of formation from the pure elements (eV/atom): -2.15
Electronic total energy (eV/atom): -5.872

---

Record 3
## BaSr3Sn4O12 (GGA-PBE)

Data for BaSr3Sn4O12 after structural relaxation.

Structure (CIF):
```
data_BaSr3Sn4O12
_space_group_name_H-M_alt 'P 1 m 1'
_space_group_IT_number 6
_cell_length_a 5.7949
_cell_length_b 8.3736
_cell_length_c 5.8098
_cell_angle_alpha 90.00
_cell_angle_beta 90.14
_cell_angle_gamma 90.00
loop_
_space_group_symop_operation_xyz
'x,y,z'
'x,-y,z'
loop_
_atom_site_label
_atom_site_type_symbol
_atom_site_fract_x
_atom_site_fract_y
_atom_site_fract_z
Ba1 Ba 0.0000 0.0000 0.0000
Sr1 Sr 0.4977 0.5000 0.5122
Sr2 Sr 0.5015 0.0000 0.4979
Sr3 Sr 0.9969 0.5000 0.0082
Sn1 Sn 0.0007 0.2518 0.5036
Sn2 Sn 0.5003 0.2520 0.0035
O1 O 0.0124 0.0000 0.5041
O2 O 0.2084 0.2658 0.7962
O3 O 0.2968 0.2545 0.3008
O4 O 0.4914 0.0000 0.0068
O5 O 0.5148 0.5000 0.9997
O6 O 0.7035 0.2429 0.7080
O7 O 0.7933 0.2538 0.2117
O8 O 0.9877 0.5000 0.5026
```

Results
Energy of formation from the pure elements (eV/atom): -2.60
Electronic total energy (eV/atom): -6.312

---

Record 4
## TeN2Cl6 (GGA-PBE)

Data for TeN2Cl6 after structural relaxation.

Structure (CIF):
```
data_TeN2Cl6
_space_group_name_H-M_alt 'F m -3 m'
_space_group_IT_number 225
_space_group_name_Hall '-F 4 2 3'
_cell_length_a 10.5029
_cell_length_b 10.5029
_cell_length_c 10.5029
_cell_angle_alpha 90.00
_cell_angle_beta 90.00
_cell_angle_gamma 90.00
loop_
_atom_site_label
_atom_site_type_symbol
_atom_site_fract_x
_atom_site_fract_y
_atom_site_fract_z
Te1 Te 0.0000 0.0000 0.0000
N1 N 0.2500 0.2500 0.2500
Cl1 Cl 0.0000 0.0000 0.2259
```

Results
Energy of formation from the pure elements (eV/atom): 0.47
Electronic total energy (eV/atom): -2.558

---

Which value of electronic total energy does entry 4 give? -2.558 eV/atom